#w
First-principles (PBE) data for KBaMg6 after structural relaxation, as listed in the Materials Project.

Computed properties:
V	31.28	Å³ per atom

Lattice parameters (Å, degrees): 5.496 7.226 12.604 90.00 90.00 90.00
Element x y z (fractional)
1 K 0.000 0.500 0.342
2 K 0.000 0.000 0.842
3 Ba 0.500 0.500 0.163
4 Ba 0.500 0.000 0.663
5 Mg 0.000 0.231 0.080
6 Mg 0.000 0.769 0.080
7 Mg 0.000 0.000 0.332
8 Mg 0.500 0.766 0.420
9 Mg 0.500 0.234 0.420
10 Mg 0.500 0.000 0.164
11 Mg 0.000 0.731 0.580
12 Mg 0.000 0.269 0.580
13 Mg 0.000 0.500 0.832
14 Mg 0.500 0.266 0.920
15 Mg 0.500 0.734 0.920
16 Mg 0.500 0.500 0.664

#x
First-principles (PBE) data for KBaMg6 after structural relaxation, as listed in the Materials Project.

Computed properties:
V	31.99	Å³ per atom

Lattice parameters (Å, degrees): 5.236 6.909 14.149 90.00 90.00 90.00
Element x y z (fractional)
1 K 0.500 0.000 0.178
2 K 0.500 0.500 0.678
3 Ba 0.500 0.500 0.174
4 Ba 0.500 0.000 0.674
5 Mg 0.500 0.257 0.423
6 Mg 0.500 0.743 0.423
7 Mg 0.000 0.748 0.044
8 Mg 0.000 0.252 0.044
9 Mg 0.000 0.000 0.357
10 Mg 0.000 0.500 0.356
11 Mg 0.500 0.757 0.923
12 Mg 0.500 0.243 0.923
13 Mg 0.000 0.248 0.544
14 Mg 0.000 0.752 0.544
15 Mg 0.000 0.500 0.857
16 Mg 0.000 0.000 0.856

Most stable: #x (next structure +33 meV/atom)